(1)
VASP calculation (PBE) on a geometry-optimized Sm4In20Ni11 structure.

Cell lengths 22.910, 4.254, 16.863 Å; angles 90.00, 124.69, 90.00 degrees
Space group C2/m (No. 12)
Symmetry-distinct sites (fractional):
Sm: 0.119 0.000 0.332 (multiplicity 4)
Sm: 0.228 0.000 0.826 (multiplicity 4)
In: 0.010 0.000 0.094 (multiplicity 4)
In: 0.039 0.500 0.377 (multiplicity 4)
In: 0.064 0.000 0.791 (multiplicity 4)
In: 0.103 0.500 0.991 (multiplicity 4)
In: 0.110 0.500 0.689 (multiplicity 4)
In: 0.112 0.000 0.550 (multiplicity 4)
In: 0.129 0.500 0.197 (multiplicity 4)
In: 0.202 0.000 0.003 (multiplicity 4)
In: 0.203 0.500 0.502 (multiplicity 4)
In: 0.246 0.000 0.291 (multiplicity 4)
Ni: 0.000 0.500 0.500 (multiplicity 2)
Ni: 0.005 0.500 0.191 (multiplicity 4)
Ni: 0.023 0.000 0.600 (multiplicity 4)
Ni: 0.134 0.000 0.102 (multiplicity 4)
Ni: 0.154 0.500 0.881 (multiplicity 4)
Ni: 0.249 0.500 0.385 (multiplicity 4)

The value obtained for the formation energy is -274 meV/atom. As for the total magnetization: 0.0 μB/f.u.

(2)
VASP calculation (PBE) on a geometry-optimized Sm2InNi2 structure.

Cell lengths 3.987, 14.432, 3.725 Å; angles 90.00, 90.00, 90.00 degrees
Space group Cmmm (No. 65)
Symmetry-distinct sites (fractional):
Sm: 0.000 0.138 0.000 (multiplicity 4)
In: 0.000 0.500 0.500 (multiplicity 2)
Ni: 0.000 0.300 0.500 (multiplicity 4)

The value obtained for the formation energy is -480 meV/atom.

(3)
VASP calculation (PBE) on a geometry-optimized SmIn2Ni9 structure.

Cell lengths 8.277, 8.277, 4.834 Å; angles 90.00, 90.00, 90.00 degrees
Space group P4/mbm (No. 127)
Symmetry-distinct sites (fractional):
Sm: 0.000 0.000 0.000 (multiplicity 2)
In: 0.124 0.376 0.000 (multiplicity 4)
Ni: 0.000 0.500 0.500 (multiplicity 2)
Ni: 0.064 0.207 0.500 (multiplicity 8)
Ni: 0.176 0.676 0.249 (multiplicity 8)

The value obtained for the formation energy is -212 meV/atom.

(4)
VASP calculation (PBE) on a geometry-optimized TbIn2Ni9 structure.

Cell lengths 8.208, 8.208, 4.791 Å; angles 90.00, 90.00, 90.00 degrees
Space group P4/mbm (No. 127)
Symmetry-distinct sites (fractional):
Tb: 0.000 0.000 0.000 (multiplicity 2)
In: 0.125 0.375 0.000 (multiplicity 4)
Ni: 0.000 0.500 0.500 (multiplicity 2)
Ni: 0.064 0.206 0.500 (multiplicity 8)
Ni: 0.176 0.676 0.248 (multiplicity 8)

The value obtained for the formation energy is -215 meV/atom. As for the total magnetization: 0.4 μB/f.u.

(5)
VASP calculation (PBE) on a geometry-optimized Tb4In20Ni11 structure.

Cell lengths 4.322, 11.472, 13.962 Å; angles 80.76, 81.11, 79.17 degrees
Space group P1 (No. 1)
Symmetry-distinct sites (fractional):
Tb: 0.000 0.000 0.000 (multiplicity 1)
Tb: 0.106 0.277 0.507 (multiplicity 1)
Tb: 0.341 0.462 0.843 (multiplicity 1)
Tb: 0.454 0.737 0.349 (multiplicity 1)
In: 0.026 0.768 0.177 (multiplicity 1)
In: 0.115 0.051 0.724 (multiplicity 1)
In: 0.165 0.706 0.963 (multiplicity 1)
In: 0.221 0.294 0.271 (multiplicity 1)
In: 0.239 0.445 0.079 (multiplicity 1)
In: 0.291 0.033 0.384 (multiplicity 1)
In: 0.346 0.691 0.623 (multiplicity 1)
In: 0.431 0.968 0.171 (multiplicity 1)
In: 0.472 0.167 0.884 (multiplicity 1)
In: 0.523 0.273 0.676 (multiplicity 1)
In: 0.601 0.428 0.371 (multiplicity 1)
In: 0.619 0.903 0.864 (multiplicity 1)
In: 0.629 0.579 0.166 (multiplicity 1)
In: 0.687 0.073 0.551 (multiplicity 1)
In: 0.765 0.666 0.797 (multiplicity 1)
In: 0.832 0.157 0.183 (multiplicity 1)
In: 0.837 0.838 0.482 (multiplicity 1)
In: 0.853 0.310 0.979 (multiplicity 1)
In: 0.926 0.467 0.673 (multiplicity 1)
In: 0.978 0.572 0.466 (multiplicity 1)
Ni: 0.095 0.538 0.278 (multiplicity 1)
Ni: 0.204 0.817 0.774 (multiplicity 1)
Ni: 0.249 0.925 0.573 (multiplicity 1)
Ni: 0.364 0.200 0.071 (multiplicity 1)
Ni: 0.477 0.479 0.558 (multiplicity 1)
Ni: 0.577 0.794 0.053 (multiplicity 1)
Ni: 0.726 0.187 0.369 (multiplicity 1)
Ni: 0.730 0.867 0.673 (multiplicity 1)
Ni: 0.735 0.551 0.979 (multiplicity 1)
Ni: 0.881 0.941 0.294 (multiplicity 1)
Ni: 0.972 0.261 0.792 (multiplicity 1)

The value obtained for the formation energy is -277 meV/atom. As for the excess energy over the best structure of this formula in the dataset: 0.0000 eV/atom. As for the total magnetization: 0.0 μB/f.u.

(6)
VASP calculation (PBE) on a geometry-optimized Tb4In20Ni11 structure.

Cell lengths 22.524, 4.314, 16.484 Å; angles 90.00, 124.00, 90.00 degrees
Space group C2/m (No. 12)
Symmetry-distinct sites (fractional):
Tb: 0.119 0.000 0.330 (multiplicity 4)
Tb: 0.229 0.000 0.824 (multiplicity 4)
In: 0.011 0.000 0.096 (multiplicity 4)
In: 0.041 0.500 0.378 (multiplicity 4)
In: 0.062 0.000 0.789 (multiplicity 4)
In: 0.102 0.500 0.990 (multiplicity 4)
In: 0.112 0.500 0.691 (multiplicity 4)
In: 0.115 0.000 0.551 (multiplicity 4)
In: 0.128 0.500 0.195 (multiplicity 4)
In: 0.203 0.000 0.002 (multiplicity 4)
In: 0.203 0.500 0.502 (multiplicity 4)
In: 0.246 0.000 0.290 (multiplicity 4)
Ni: 0.000 0.500 0.500 (multiplicity 2)
Ni: 0.007 0.500 0.197 (multiplicity 4)
Ni: 0.022 0.000 0.597 (multiplicity 4)
Ni: 0.137 0.000 0.103 (multiplicity 4)
Ni: 0.153 0.500 0.879 (multiplicity 4)
Ni: 0.245 0.500 0.381 (multiplicity 4)

The value obtained for the formation energy is -272 meV/atom. As for the excess energy over the best structure of this formula in the dataset: 0.0051 eV/atom. As for the total magnetization: 0.0 μB/f.u.

(7)
VASP calculation (PBE) on a geometry-optimized Tb11In9Ni4 structure.

Cell lengths 14.721, 21.375, 3.637 Å; angles 90.00, 90.00, 90.00 degrees
Space group Cmmm (No. 65)
Symmetry-distinct sites (fractional):
Tb: 0.000 0.000 0.000 (multiplicity 2)
Tb: 0.000 0.159 0.000 (multiplicity 4)
Tb: 0.000 0.375 0.000 (multiplicity 4)
Tb: 0.186 0.500 0.000 (multiplicity 4)
Tb: 0.249 0.171 0.000 (multiplicity 8)
In: 0.000 0.500 0.500 (multiplicity 2)
In: 0.103 0.264 0.500 (multiplicity 8)
In: 0.149 0.071 0.500 (multiplicity 8)
Ni: 0.151 0.399 0.500 (multiplicity 8)

The value obtained for the formation energy is -511 meV/atom. As for the total magnetization: 0.2 μB/f.u.

(8)
VASP calculation (PBE) on a geometry-optimized Tb20In40Ni19 structure.

Cell lengths 13.564, 13.564, 9.049 Å; angles 90.00, 90.00, 90.00 degrees
Space group P-4m2 (No. 115)
Symmetry-distinct sites (fractional):
Tb: 0.000 0.222 0.265 (multiplicity 4)
Tb: 0.000 0.500 0.340 (multiplicity 2)
Tb: 0.000 0.500 0.862 (multiplicity 2)
Tb: 0.203 0.298 0.764 (multiplicity 8)
Tb: 0.276 0.500 0.267 (multiplicity 4)
In: 0.000 0.116 0.738 (multiplicity 4)
In: 0.000 0.333 0.594 (multiplicity 4)
In: 0.132 0.367 0.091 (multiplicity 8)
In: 0.137 0.137 0.000 (multiplicity 4)
In: 0.152 0.152 0.500 (multiplicity 4)
In: 0.167 0.500 0.593 (multiplicity 4)
In: 0.346 0.346 0.500 (multiplicity 4)
In: 0.369 0.369 0.000 (multiplicity 4)
In: 0.384 0.500 0.734 (multiplicity 4)
Ni: 0.000 0.000 0.000 (multiplicity 1)
Ni: 0.000 0.000 0.500 (multiplicity 1)
Ni: 0.000 0.279 0.909 (multiplicity 4)
Ni: 0.156 0.344 0.401 (multiplicity 8)
Ni: 0.224 0.500 0.913 (multiplicity 4)
Ni: 0.500 0.500 0.500 (multiplicity 1)

The value obtained for the formation energy is -424 meV/atom. As for the total magnetization: 0.0 μB/f.u.

(9)
VASP calculation (PBE) on a geometry-optimized Ti2InNi structure.

Cell lengths 6.407, 6.407, 6.407 Å; angles 90.00, 90.00, 90.00 degrees
Space group F-43m (No. 216)
Symmetry-distinct sites (fractional):
Ti: 0.000 0.000 0.000 (multiplicity 4)
Ti: 0.250 0.250 0.250 (multiplicity 4)
In: 0.000 0.000 0.500 (multiplicity 4)
Ni: 0.250 0.250 0.750 (multiplicity 4)

The value obtained for the formation energy is -97 meV/atom. As for the excess energy over the best structure of this formula in the dataset: 0.0000 eV/atom. As for the total magnetization: 3.0 μB/f.u.

(10)
VASP calculation (PBE) on a geometry-optimized Ti2InNi structure.

Cell lengths 6.426, 6.426, 6.426 Å; angles 90.00, 90.00, 90.00 degrees
Space group Fm-3m (No. 225)
Symmetry-distinct sites (fractional):
Ti: 0.250 0.250 0.250 (multiplicity 8)
In: 0.000 0.000 0.000 (multiplicity 4)
Ni: 0.000 0.000 0.500 (multiplicity 4)

The value obtained for the formation energy is -75 meV/atom. As for the excess energy over the best structure of this formula in the dataset: 0.0226 eV/atom. As for the total magnetization: 1.1 μB/f.u.

(11)
VASP calculation (PBE) on a geometry-optimized Ti2InNi2 structure.

Cell lengths 6.946, 6.946, 6.239 Å; angles 90.00, 90.00, 90.00 degrees
Space group P4_2/mnm (No. 136)
Symmetry-distinct sites (fractional):
Ti: 0.151 0.151 0.000 (multiplicity 4)
Ti: 0.176 0.176 0.500 (multiplicity 4)
In: 0.000 0.500 0.250 (multiplicity 4)
Ni: 0.127 0.873 0.280 (multiplicity 8)

The value obtained for the formation energy is -407 meV/atom.

(12)
VASP calculation (PBE) on a geometry-optimized TmInNi4 structure.

Cell lengths 6.999, 6.999, 6.999 Å; angles 90.00, 90.00, 90.00 degrees
Space group F-43m (No. 216)
Symmetry-distinct sites (fractional):
Tm: 0.000 0.000 0.000 (multiplicity 4)
In: 0.250 0.250 0.750 (multiplicity 4)
Ni: 0.124 0.124 0.376 (multiplicity 16)

The value obtained for the formation energy is -408 meV/atom.

| no. | DFT total energy (eV per atom) | mass density (g/cm³) |
| --- | --- | --- |
| 1 | -4.202 | 8.7 |
| 2 | -5.230 | 8.3 |
| 3 | -5.399 | 9.1 |
| 4 | -5.395 | 9.4 |
| 5 | -4.196 | 8.9 |
| 6 | -4.191 | 8.9 |
| 7 | -4.631 | 8.8 |
| 8 | -4.381 | 8.9 |
| 9 | -6.178 | 6.8 |
| 10 | -6.155 | 6.7 |
| 11 | -6.428 | 7.2 |
| 12 | -5.466 | 10.0 |